Material: CrPO4
Method: DFT, PBE with a Hubbard U
State: optimized geometry

Cell and atoms, written as extended XYZ:
```
24
Lattice="-4.103 1.040 2.151 2.508 -0.624 5.086 2.420 9.581 -0.018" Properties=species:S:1:pos:R:3 pbc="T T T"
Cr 3.475 6.568 3.892
Cr 0.557 2.211 4.796
Cr -2.651 3.429 3.328
Cr 0.267 7.787 2.423
P 1.615 8.870 5.091
P -0.817 4.389 5.741
P -0.790 1.128 2.128
P 1.641 5.609 1.478
O -2.037 1.671 2.809
O 1.723 6.380 2.873
O 0.271 8.418 4.358
O 0.152 3.356 6.477
O -0.497 1.841 0.730
O -0.899 3.617 4.346
O 0.554 1.580 2.861
O 0.672 6.642 0.742
O 2.862 8.327 4.410
O -1.107 6.532 2.947
O 1.322 8.156 6.489
O 1.932 3.465 4.272
O -0.733 0.799 5.259
O 1.557 9.199 1.960
O 0.988 4.246 1.634
O -0.163 5.752 5.586
```

- Spin magnetization: 3.00 μB per formula unit
- Formation energy from the elements: -2.541 eV per atom
- Final energy: -7.560 eV per atom
- Space-group type: Pnma (62)

Material: CrP2O7
Method: DFT, PBE with a Hubbard U
State: optimized geometry

Cell and atoms, written as extended XYZ:
```
20
Lattice="6.146 0.000 0.000 -2.363 6.138 0.000 -0.819 -0.408 7.223" Properties=species:S:1:pos:R:3 pbc="T T T"
Cr 4.633 1.514 1.507
Cr -1.669 4.216 5.716
P 1.563 0.785 0.852
P 1.400 4.945 6.372
P 3.664 1.330 4.474
P -0.700 4.400 2.750
O 0.656 -0.197 6.668
O 2.308 5.927 0.555
O 0.353 1.669 1.196
O 2.611 4.060 6.027
O 2.808 1.687 1.031
O 0.156 4.043 6.192
O 0.681 4.009 3.144
O 2.283 1.721 4.079
O 4.509 0.870 3.219
O -1.546 4.860 4.005
O 3.663 -0.020 5.329
O -1.531 3.415 1.911
O 4.495 2.315 5.313
O -0.699 5.750 1.894
```

- Spin magnetization: 2.00 μB per formula unit
- Energy above the most stable polymorph in this dataset: 1.19 eV per formula unit
- Formation energy from the elements: -2.337 eV per atom
- Final energy: -7.168 eV per atom
- Space-group type: P-1 (2)

Material: CrPO4
Method: DFT, PBE with a Hubbard U
State: optimized geometry

Cell and atoms, written as extended XYZ:
```
48
Lattice="5.976 0.000 0.000 0.000 7.713 0.000 0.000 0.000 11.101" Properties=species:S:1:pos:R:3 pbc="T T T"
Cr 3.628 6.393 4.810
Cr 0.640 6.393 0.740
Cr 3.628 5.177 10.361
Cr 0.640 5.177 6.290
Cr 5.336 2.536 4.810
Cr 2.348 2.536 0.740
Cr 5.336 1.320 10.361
Cr 2.348 1.320 6.290
P 5.339 0.400 7.138
P 2.351 0.400 9.513
P 5.339 3.457 1.587
P 2.351 3.457 3.963
P 3.625 4.256 7.138
P 0.637 4.256 9.513
P 3.625 7.313 1.587
P 0.637 7.313 3.963
O 4.917 4.134 6.202
O 4.917 7.435 0.652
O 4.053 6.959 2.989
O 1.065 6.959 2.561
O 3.056 6.766 9.489
O 0.068 6.766 7.162
O 5.785 6.154 4.675
O 2.797 6.154 0.876
O 4.047 0.278 6.202
O 1.059 0.278 10.449
O 1.923 0.754 8.112
O 4.911 0.754 8.539
O 2.920 0.947 1.611
O 5.908 0.947 3.939
O 0.191 1.559 6.426
O 3.179 1.559 10.225
O 0.191 2.297 0.876
O 3.179 2.297 4.675
O 2.920 2.909 7.162
O 5.785 5.416 10.225
O 1.923 3.102 2.561
O 4.911 3.102 2.989
O 4.047 3.579 0.652
O 1.059 3.579 4.898
O 5.908 2.909 9.489
O 1.929 4.134 10.449
O 1.065 4.610 8.112
O 4.053 4.610 8.539
O 0.068 4.803 1.611
O 3.056 4.803 3.939
O 2.797 5.416 6.426
O 1.929 7.435 4.898
```

- Spin magnetization: 3.00 μB per formula unit
- Formation energy from the elements: -2.480 eV per atom
- Final energy: -7.499 eV per atom
- Space-group type: Pbca (61)

Material: Cr2P2O7
Method: DFT, PBE with a Hubbard U
State: optimized geometry

Cell and atoms, written as extended XYZ:
```
66
Lattice="-0.108 -10.931 -1.940 1.149 -9.071 6.297 -9.200 -1.201 1.675" Properties=species:S:1:pos:R:3 pbc="T T T"
Cr -6.359 -13.968 6.874
Cr -8.693 -11.734 2.307
Cr -0.735 -6.329 4.328
Cr -2.540 -14.524 0.917
Cr -5.619 -6.679 5.116
Cr 0.534 -9.469 3.725
Cr -3.619 -10.432 4.576
Cr -6.126 -8.101 -0.023
Cr -1.800 -7.234 -0.842
Cr -7.424 -14.874 1.705
Cr -4.540 -10.771 1.456
Cr -2.033 -13.102 6.055
P -2.546 -8.248 2.367
P -5.613 -12.955 3.665
P -4.582 -5.950 2.188
P -7.179 -8.897 2.988
P -0.024 -5.410 1.080
P -3.577 -15.253 3.845
P -6.891 -19.804 5.363
P -1.268 -1.399 0.669
P -8.135 -15.793 4.952
P -2.246 -19.136 4.823
P -0.980 -12.305 3.044
P -5.913 -2.067 1.209
O -5.857 -10.128 6.862
O -3.650 -4.813 1.689
O -4.518 -14.087 3.288
O 0.247 -13.241 3.534
O -8.367 -10.795 0.536
O 0.104 -15.770 3.590
O 0.208 -10.408 5.497
O -5.459 -6.447 1.047
O -2.783 -15.678 2.607
O -8.406 -7.961 2.498
O -7.994 -8.984 6.371
O -0.287 -11.005 2.550
O -6.787 -13.184 2.720
O -4.509 -16.390 4.344
O -2.700 -14.756 4.985
O -2.864 -8.859 5.616
O -6.339 -9.163 1.744
O -3.266 -9.588 2.684
O -1.452 -17.887 4.340
O -4.281 -9.696 -0.280
O -1.744 -12.976 1.936
O -2.174 -8.156 0.913
O -1.820 -12.040 4.289
O -5.985 -13.047 5.119
O -3.641 -7.116 2.744
O -6.998 -15.708 5.972
O -6.415 -8.226 4.097
O -6.075 -18.521 5.029
O -3.878 -11.507 6.313
O -2.084 -2.682 1.003
O -7.653 -15.879 3.512
O -5.376 -5.524 3.425
O -4.893 -11.614 3.348
O -8.263 -5.433 2.442
O -0.165 -12.219 -0.339
O -1.161 -5.494 0.060
O -2.302 -11.075 -0.829
O -7.872 -10.198 3.482
O -6.707 -3.316 1.693
O -0.506 -5.324 2.521
O -1.372 -8.019 3.312
O -5.295 -12.344 0.417
```

- Formation energy from the elements: -2.524 eV per atom
- Final energy: -7.611 eV per atom
- Space-group type: C2/c (15)